The following is a PBE+U calculation of a geometry-optimized NaMnPO4 structure, from the Materials Project database.

Output
For the size of the total moment, the calculation gives 0.00 Bohr magnetons per cell. The space-group type is Pnma (62). For the energy above the most stable polymorph in this dataset, the calculation gives 10.6 meV per atom. Its energy of formation is -2.5645 eV per atom. For the corrected total energy (MP2020 scheme), the calculation gives -214.566 eV for the cell shown.

Unit cell a=5.172 b=6.981 c=9.214 alpha=90.00 beta=90.00 gamma=90.00
Fractional positions:
O1 0.244 0.250 0.120
O2 0.256 0.250 0.620
O3 0.744 0.750 0.380
O4 0.830 0.069 0.622
O5 0.458 0.750 0.653
O6 0.330 0.569 0.878
O7 0.042 0.750 0.153
O8 0.170 0.931 0.378
O9 0.670 0.069 0.122
O10 0.542 0.250 0.347
O11 0.330 0.931 0.878
O12 0.670 0.431 0.122
O13 0.830 0.431 0.622
O14 0.170 0.569 0.378
O15 0.756 0.750 0.880
O16 0.958 0.250 0.847
P1 0.971 0.250 0.676
P2 0.471 0.750 0.824
P3 0.029 0.750 0.324
P4 0.529 0.250 0.176
Na1 0.027 0.250 0.350
Na2 0.527 0.750 0.150
Na3 0.473 0.250 0.850
Na4 0.973 0.750 0.650
Mn1 0.000 0.000 0.000
Mn2 0.000 0.500 0.000
Mn3 0.500 0.000 0.500
Mn4 0.500 0.500 0.500

---

The following is a PBE+U calculation of a geometry-optimized LiFeF4 structure, from the Materials Project database.

Output
For the size of the total moment, the calculation gives 40.00 Bohr magnetons per cell. The space-group type is Pnma (62). For the energy above the most stable polymorph in this dataset, the calculation gives 71.0 meV per atom. Its energy of formation is -2.7536 eV per atom. For the corrected total energy (MP2020 scheme), the calculation gives -276.469 eV for the cell shown.

Unit cell a=7.500 b=7.714 c=11.067 alpha=90.00 beta=90.00 gamma=90.00
Fractional positions:
Fe1 0.000 0.889 0.744
Fe2 0.500 0.889 0.744
Fe3 0.000 0.611 0.244
Fe4 0.500 0.111 0.256
Fe5 0.000 0.111 0.256
Fe6 0.500 0.389 0.756
Fe7 0.000 0.389 0.756
Fe8 0.500 0.611 0.244
F1 0.443 0.142 0.735
F2 0.250 0.442 0.823
F3 0.567 0.134 0.421
F4 0.933 0.134 0.421
F5 0.943 0.642 0.765
F6 0.432 0.072 0.095
F7 0.443 0.358 0.235
F8 0.750 0.351 0.691
F9 0.750 0.558 0.177
F10 0.067 0.866 0.579
F11 0.932 0.928 0.905
F12 0.433 0.866 0.579
F13 0.067 0.634 0.079
F14 0.750 0.149 0.191
F15 0.943 0.858 0.265
F16 0.557 0.642 0.765
F17 0.432 0.428 0.595
F18 0.068 0.072 0.095
F19 0.557 0.858 0.265
F20 0.057 0.142 0.735
F21 0.250 0.649 0.309
F22 0.932 0.572 0.405
F23 0.568 0.928 0.905
F24 0.250 0.851 0.809
F25 0.568 0.572 0.405
F26 0.068 0.428 0.595
F27 0.567 0.366 0.921
F28 0.433 0.634 0.079
F29 0.057 0.358 0.235
F30 0.933 0.366 0.921
F31 0.750 0.942 0.677
F32 0.250 0.058 0.323
Li1 0.250 0.973 0.489
Li2 0.750 0.027 0.511
Li3 0.750 0.473 0.011
Li4 0.250 0.977 0.000
Li5 0.250 0.527 0.989
Li6 0.250 0.523 0.500
Li7 0.750 0.023 0.000
Li8 0.750 0.477 0.500

---

The following is a PBE+U calculation of a geometry-optimized NdV2O2 structure, from the Materials Project database.

Output
For the size of the total moment, the calculation gives 24.08 Bohr magnetons per cell. The space-group type is I4_1/amd (141). Its energy of formation is -0.9272 eV per atom. For the corrected total energy (MP2020 scheme), the calculation gives -149.872 eV for the cell shown.

Unit cell a=7.899 b=7.899 c=7.899 alpha=111.91 beta=111.91 gamma=104.69
Fractional positions:
V1 0.246 0.434 0.187
V2 0.566 0.754 0.813
V3 0.504 0.191 0.687
V4 0.246 0.059 0.813
V5 0.504 0.816 0.313
V6 0.809 0.496 0.313
V7 0.184 0.496 0.687
V8 0.941 0.754 0.187
O1 0.559 0.905 0.654
O2 0.498 0.345 0.154
O3 0.655 0.502 0.846
O4 0.191 0.345 0.846
O5 0.655 0.809 0.154
O6 0.095 0.441 0.346
O7 0.095 0.748 0.654
O8 0.252 0.905 0.346
Nd1 0.875 0.125 0.250
Nd2 0.875 0.625 0.750
Nd3 0.875 0.125 0.750
Nd4 0.375 0.125 0.250

---

The following is a PBE+U calculation of a geometry-optimized Na2NiPCO7 structure, from the Materials Project database.

Output
For the size of the total moment, the calculation gives 4.00 Bohr magnetons per cell. The space-group type is P1 (1). For the energy above the most stable polymorph in this dataset, the calculation gives 26.3 meV per atom. Its energy of formation is -2.0615 eV per atom. For the corrected total energy (MP2020 scheme), the calculation gives -329.761 eV for the cell shown.

Unit cell a=10.195 b=10.367 c=8.386 alpha=108.18 beta=72.18 gamma=60.43
Fractional positions:
Na1 0.751 0.983 0.483
Na2 0.249 0.497 0.490
Na3 0.515 0.752 0.972
Na4 0.486 0.250 0.017
Na5 0.254 0.004 0.512
Na6 0.990 0.755 0.006
Na7 0.009 0.242 0.000
Na8 0.780 0.310 0.732
O1 0.025 0.843 0.749
O2 0.500 0.430 0.246
O3 0.000 0.321 0.563
O4 0.985 0.585 0.747
O5 0.518 0.906 0.245
O6 0.357 0.190 0.252
O7 0.298 0.028 0.940
O8 0.970 0.156 0.248
O9 0.696 0.472 0.252
O10 0.481 0.095 0.755
O11 0.199 0.969 0.248
O12 0.201 0.474 0.066
O13 0.002 0.926 0.249
O14 0.702 0.973 0.060
O15 0.468 0.663 0.253
O16 0.499 0.569 0.760
O17 0.009 0.664 0.440
O18 0.799 0.039 0.748
O19 0.640 0.820 0.755
O20 0.143 0.312 0.760
O21 0.799 0.521 0.936
O22 0.018 0.408 0.250
O23 0.531 0.336 0.748
O24 0.303 0.527 0.749
O25 0.858 0.686 0.246
O26 0.484 0.848 0.563
O27 0.517 0.154 0.436
O28 0.999 0.074 0.752
C1 0.055 0.013 0.246
C2 0.552 0.518 0.252
C3 0.944 0.987 0.750
C4 0.445 0.483 0.753
Ni1 0.154 0.194 0.257
Ni2 0.839 0.811 0.749
Ni3 0.659 0.689 0.253
Ni4 0.341 0.310 0.751
P1 0.524 0.054 0.249
P2 0.475 0.947 0.751
P3 0.980 0.440 0.751
P4 0.022 0.555 0.252

---

The following is a PBE+U calculation of a geometry-optimized LaMgFeMoO6 structure, from the Materials Project database.

Output
For the size of the total moment, the calculation gives 14.00 Bohr magnetons per cell. The space-group type is Pc (7). Its energy of formation is -2.5483 eV per atom. For the corrected total energy (MP2020 scheme), the calculation gives -162.045 eV for the cell shown.

Unit cell a=5.625 b=5.452 c=9.467 alpha=55.86 beta=90.00 gamma=90.00
Fractional positions:
O1 0.192 0.659 0.750
O2 0.017 0.856 0.932
O3 0.034 0.226 0.557
O4 0.983 0.856 0.432
O5 0.447 0.747 0.437
O6 0.808 0.659 0.250
O7 0.720 0.394 0.748
O8 0.966 0.226 0.057
O9 0.444 0.112 0.067
O10 0.556 0.112 0.567
O11 0.280 0.394 0.248
O12 0.553 0.747 0.937
Mo1 0.756 0.498 0.503
Mo2 0.244 0.498 0.003
Mg1 0.196 0.777 0.251
Mg2 0.804 0.777 0.751
La1 0.295 0.234 0.753
La2 0.705 0.234 0.253
Fe1 0.251 0.998 0.501
Fe2 0.749 0.998 0.001

---

The following is a PBE+U calculation of a geometry-optimized Li9Mn2Co5O16 structure, from the Materials Project database.

Output
For the size of the total moment, the calculation gives 8.00 Bohr magnetons per cell. The space-group type is P1 (1). For the energy above the most stable polymorph in this dataset, the calculation gives 31.4 meV per atom. Its energy of formation is -1.8327 eV per atom. For the corrected total energy (MP2020 scheme), the calculation gives -208.860 eV for the cell shown.

Unit cell a=5.055 b=5.905 c=10.141 alpha=89.94 beta=99.97 gamma=105.64
Fractional positions:
O1 0.231 0.825 0.935
O2 0.776 0.712 0.060
O3 0.732 0.659 0.562
O4 0.765 0.445 0.320
O5 0.737 0.428 0.800
O6 0.761 0.921 0.316
O7 0.750 0.957 0.824
O8 0.268 0.324 0.452
O9 0.749 0.201 0.575
O10 0.251 0.543 0.680
O11 0.227 0.056 0.176
O12 0.253 0.570 0.202
O13 0.271 0.090 0.694
O14 0.753 0.181 0.046
O15 0.248 0.801 0.438
O16 0.240 0.282 0.932
Li1 0.497 0.367 0.130
Li2 0.993 0.249 0.247
Li3 0.009 0.004 0.495
Li4 0.006 0.508 0.005
Li5 0.500 0.632 0.883
Li6 0.500 0.118 0.366
Li7 0.501 0.874 0.124
Li8 0.996 0.740 0.753
Li9 0.498 0.874 0.623
Co1 0.999 0.764 0.248
Co2 0.498 0.117 0.881
Co3 0.000 0.504 0.493
Co4 0.997 0.250 0.751
Co5 0.494 0.632 0.365
Mn1 0.999 0.994 0.002
Mn2 0.501 0.375 0.626

---

The following is a PBE+U calculation of a geometry-optimized CaNiWO6 structure, from the Materials Project database.

Output
For the size of the total moment, the calculation gives 0.00 Bohr magnetons per cell. The space-group type is Pc (7). For the energy above the most stable polymorph in this dataset, the calculation gives 0.0 meV per atom. Its energy of formation is -1.8565 eV per atom. For the corrected total energy (MP2020 scheme), the calculation gives -134.281 eV for the cell shown.

Unit cell a=5.339 b=5.242 c=9.111 alpha=55.07 beta=90.00 gamma=90.00
Fractional positions:
O1 0.956 0.757 0.958
O2 0.741 0.672 0.246
O3 0.459 0.250 0.540
O4 0.460 0.833 0.962
O5 0.963 0.164 0.539
O6 0.259 0.672 0.746
O7 0.044 0.757 0.458
O8 0.037 0.164 0.039
O9 0.239 0.324 0.253
O10 0.761 0.324 0.753
O11 0.540 0.833 0.462
O12 0.541 0.250 0.040
Ca1 0.303 0.763 0.249
Ca2 0.697 0.763 0.749
W1 0.236 0.501 0.000
W2 0.764 0.501 0.500
Ni1 0.252 0.001 0.501
Ni2 0.748 0.001 0.001

---

The following is a PBE+U calculation of a geometry-optimized V2ZnH18N6O10 structure, from the Materials Project database.

Output
For the size of the total moment, the calculation gives 0.10 Bohr magnetons per cell. The space-group type is P2_1/c (14). Its energy of formation is -0.6913 eV per atom. For the corrected total energy (MP2020 scheme), the calculation gives -822.291 eV for the cell shown.

Unit cell a=7.764 b=12.651 c=16.586 alpha=90.00 beta=115.29 gamma=90.00
Fractional positions:
H1 0.530 0.196 0.454
H2 0.367 0.996 0.255
H3 0.103 0.586 0.929
H4 0.204 0.721 0.724
H5 0.741 0.855 0.979
H6 0.786 0.806 0.253
H7 0.633 0.496 0.245
H8 0.244 0.839 0.772
H9 0.603 0.963 0.948
H10 0.446 0.007 0.645
H11 0.103 0.914 0.429
H12 0.257 0.214 0.659
H13 0.816 0.535 0.446
H14 0.278 0.753 0.047
H15 0.921 0.466 0.167
H16 0.470 0.696 0.046
H17 0.743 0.714 0.841
H18 0.554 0.507 0.855
H19 0.633 0.004 0.745
H20 0.259 0.145 0.021
H21 0.704 0.055 0.586
H22 0.704 0.445 0.086
H23 0.385 0.739 0.823
H24 0.722 0.253 0.453
H25 0.385 0.761 0.323
H26 0.079 0.966 0.333
H27 0.488 0.817 0.086
H28 0.397 0.037 0.052
H29 0.244 0.661 0.272
H30 0.397 0.463 0.552
H31 0.367 0.504 0.755
H32 0.257 0.286 0.159
H33 0.590 0.998 0.263
H34 0.743 0.786 0.341
H35 0.530 0.304 0.954
H36 0.410 0.002 0.737
H37 0.603 0.537 0.448
H38 0.184 0.465 0.554
H39 0.897 0.086 0.571
H40 0.554 0.993 0.355
H41 0.590 0.502 0.763
H42 0.138 0.304 0.688
H43 0.786 0.694 0.753
H44 0.446 0.493 0.145
H45 0.512 0.317 0.414
H46 0.470 0.804 0.546
H47 0.138 0.196 0.188
H48 0.278 0.747 0.547
H49 0.296 0.945 0.414
H50 0.756 0.161 0.228
H51 0.512 0.183 0.914
H52 0.615 0.239 0.677
H53 0.816 0.965 0.946
H54 0.488 0.683 0.586
H55 0.615 0.261 0.177
H56 0.796 0.279 0.276
H57 0.741 0.645 0.479
H58 0.862 0.696 0.312
H59 0.897 0.414 0.071
H60 0.214 0.194 0.747
H61 0.921 0.034 0.667
H62 0.296 0.555 0.914
H63 0.410 0.498 0.237
H64 0.204 0.779 0.224
H65 0.184 0.035 0.054
H66 0.259 0.355 0.521
H67 0.214 0.306 0.247
H68 0.079 0.534 0.833
H69 0.722 0.247 0.953
H70 0.756 0.339 0.728
H71 0.862 0.804 0.812
H72 0.796 0.221 0.776
O1 0.588 0.590 0.965
O2 0.233 0.025 0.798
O3 0.883 0.051 0.795
O4 0.233 0.475 0.298
O5 0.372 0.047 0.890
O6 0.911 0.423 0.386
O7 0.105 0.579 0.074
O8 0.588 0.910 0.465
O9 0.960 0.166 0.491
O10 0.628 0.953 0.110
O11 0.117 0.949 0.205
O12 0.372 0.453 0.390
O13 0.895 0.079 0.426
O14 0.105 0.921 0.574
O15 0.149 0.306 0.874
O16 0.767 0.975 0.202
O17 0.341 0.185 0.562
O18 0.659 0.685 0.938
O19 0.881 0.385 0.598
O20 0.883 0.449 0.295
O21 0.412 0.410 0.035
O22 0.040 0.666 0.009
O23 0.119 0.615 0.402
O24 0.089 0.577 0.614
O25 0.851 0.694 0.126
O26 0.117 0.551 0.705
O27 0.089 0.923 0.114
O28 0.895 0.421 0.926
O29 0.659 0.815 0.438
O30 0.628 0.547 0.610
O31 0.851 0.806 0.626
O32 0.767 0.525 0.702
O33 0.149 0.194 0.374
O34 0.911 0.077 0.886
O35 0.119 0.885 0.902
O36 0.960 0.334 0.991
O37 0.412 0.090 0.535
O38 0.341 0.315 0.062
O39 0.040 0.834 0.509
O40 0.881 0.115 0.098
N1 0.310 0.773 0.762
N2 0.258 0.436 0.519
N3 0.577 0.255 0.918
N4 0.503 0.476 0.791
N5 0.250 0.251 0.713
N6 0.750 0.751 0.787
N7 0.258 0.064 0.019
N8 0.690 0.227 0.238
N9 0.690 0.273 0.738
N10 0.497 0.524 0.209
N11 0.159 0.968 0.400
N12 0.577 0.245 0.418
N13 0.742 0.564 0.481
N14 0.742 0.936 0.981
N15 0.310 0.727 0.262
N16 0.159 0.532 0.900
N17 0.497 0.976 0.709
N18 0.841 0.032 0.600
N19 0.423 0.745 0.082
N20 0.750 0.749 0.287
N21 0.423 0.755 0.582
N22 0.841 0.468 0.100
N23 0.250 0.249 0.213
N24 0.503 0.024 0.291
Zn1 0.511 0.184 0.295
Zn2 0.489 0.684 0.205
Zn3 0.489 0.816 0.705
Zn4 0.511 0.316 0.795
V1 0.151 0.119 0.456
V2 0.151 0.381 0.956
V3 0.129 0.012 0.884
V4 0.849 0.881 0.544
V5 0.849 0.619 0.044
V6 0.871 0.988 0.116
V7 0.129 0.488 0.384
V8 0.871 0.512 0.616